1.
# Er4CdPd, relaxed, DFT GGA-PBE
data_Er4CdPd
_space_group_name_H-M_alt 'F -4 3 m'
_space_group_IT_number 216
_space_group_name_Hall 'F -4 2 3'
_cell_length_a 13.600
_cell_length_b 13.600
_cell_length_c 13.600
_cell_angle_alpha 90.00
_cell_angle_beta 90.00
_cell_angle_gamma 90.00
loop_
_atom_site_label
_atom_site_fract_x
_atom_site_fract_y
_atom_site_fract_z
Er1 0.000 0.000 0.183
Er2 0.061 0.250 0.750
Er3 0.103 0.103 0.397
Cd1 0.168 0.168 0.168
Pd1 0.106 0.106 0.606
# ΔH_f (0 K), eV per atom: -0.46
# Raw total energy, eV per atom: -4.52



2.
# HgB6, relaxed, DFT GGA-PBE
data_HgB6
_space_group_name_H-M_alt 'P m -3 m'
_space_group_IT_number 221
_space_group_name_Hall '-P 4 2 3'
_cell_length_a 4.193
_cell_length_b 4.193
_cell_length_c 4.193
_cell_angle_alpha 90.00
_cell_angle_beta 90.00
_cell_angle_gamma 90.00
loop_
_atom_site_label
_atom_site_fract_x
_atom_site_fract_y
_atom_site_fract_z
Hg1 0.000 0.000 0.000
B1 0.200 0.500 0.500
# ΔH_f (0 K), eV per atom: 0.41
# Raw total energy, eV per atom: -5.36



3.
# TiCrAgS4, relaxed, DFT GGA-PBE
data_TiCrAgS4
_space_group_name_H-M_alt 'P -1'
_space_group_IT_number 2
_cell_length_a 6.476
_cell_length_b 7.665
_cell_length_c 12.784
_cell_angle_alpha 98.41
_cell_angle_beta 95.19
_cell_angle_gamma 90.32
loop_
_space_group_symop_operation_xyz
'x,y,z'
'-x,-y,-z'
loop_
_atom_site_label
_atom_site_fract_x
_atom_site_fract_y
_atom_site_fract_z
Ti1 0.149 0.203 0.291
Ti2 0.237 0.401 0.999
Cr1 0.366 0.055 0.716
Cr2 0.366 0.553 0.707
Ag1 0.113 0.690 0.308
Ag2 0.253 0.868 0.000
S1 0.088 0.638 0.104
S2 0.134 0.178 0.113
S3 0.191 0.794 0.654
S4 0.245 0.280 0.642
S5 0.325 0.973 0.351
S6 0.331 0.449 0.372
S7 0.369 0.115 0.890
S8 0.421 0.566 0.888
# ΔH_f (0 K), eV per atom: -0.92
# Raw total energy, eV per atom: -5.91



4.
# Cs2NaPrBr6, relaxed, DFT GGA-PBE
data_Cs2NaPrBr6
_space_group_name_H-M_alt 'F m -3 m'
_space_group_IT_number 225
_space_group_name_Hall '-F 4 2 3'
_cell_length_a 11.708
_cell_length_b 11.708
_cell_length_c 11.708
_cell_angle_alpha 90.00
_cell_angle_beta 90.00
_cell_angle_gamma 90.00
loop_
_atom_site_label
_atom_site_fract_x
_atom_site_fract_y
_atom_site_fract_z
Cs1 0.250 0.250 0.250
Na1 0.000 0.000 0.000
Pr1 0.000 0.000 0.500
Br1 0.000 0.000 0.252
# ΔH_f (0 K), eV per atom: -2.15
# Raw total energy, eV per atom: -3.61



5.
# Zn2CuIrO6, relaxed, DFT GGA-PBE
data_Zn2CuIrO6
_space_group_name_H-M_alt 'P 1 21/c 1'
_space_group_IT_number 14
_cell_length_a 5.130
_cell_length_b 5.197
_cell_length_c 9.237
_cell_angle_alpha 90.00
_cell_angle_beta 123.16
_cell_angle_gamma 90.00
loop_
_space_group_symop_operation_xyz
'x,y,z'
'-x,-y,-z'
'-x,y+1/2,-z+1/2'
'x,-y+1/2,z+1/2'
loop_
_atom_site_label
_atom_site_fract_x
_atom_site_fract_y
_atom_site_fract_z
Zn1 0.242 0.056 0.249
Cu1 0.000 0.000 0.500
Ir1 0.500 0.000 0.000
O1 0.111 0.184 0.929
O2 0.247 0.683 0.924
O3 0.397 0.073 0.762
# ΔH_f (0 K), eV per atom: -1.26
# Raw total energy, eV per atom: -5.36



6.
# Li7Ti11O24, relaxed, DFT GGA-PBE
data_Li7Ti11O24
_space_group_name_H-M_alt 'C 1 2/m 1'
_space_group_IT_number 12
_cell_length_a 19.744
_cell_length_b 5.967
_cell_length_c 8.436
_cell_angle_alpha 90.00
_cell_angle_beta 115.14
_cell_angle_gamma 90.00
loop_
_space_group_symop_operation_xyz
'x,y,z'
'-x,-y,-z'
'-x,y,-z'
'x,-y,z'
'x+1/2,y+1/2,z'
'-x+1/2,-y+1/2,-z'
'-x+1/2,y+1/2,-z'
'x+1/2,-y+1/2,z'
loop_
_atom_site_label
_atom_site_fract_x
_atom_site_fract_y
_atom_site_fract_z
Li1 0.000 0.000 0.000
Li2 0.082 0.000 0.458
Li3 0.084 0.500 0.205
Li4 0.249 0.500 0.124
Ti1 0.000 0.500 0.500
Ti2 0.081 0.244 0.838
Ti3 0.162 0.000 0.166
Ti4 0.167 0.500 0.668
Ti5 0.250 0.250 0.500
O1 0.008 0.500 0.747
O2 0.011 0.000 0.762
O3 0.083 0.277 0.596
O4 0.088 0.233 0.071
O5 0.158 0.000 0.920
O6 0.158 0.500 0.893
O7 0.174 0.000 0.412
O8 0.175 0.500 0.437
O9 0.250 0.223 0.263
# ΔH_f (0 K), eV per atom: -3.23
# Raw total energy, eV per atom: -8.05



7.
# In2GaCu3Se6, relaxed, DFT GGA-PBE
data_In2GaCu3Se6
_space_group_name_H-M_alt 'C 1 2 1'
_space_group_IT_number 5
_cell_length_a 8.209
_cell_length_b 11.576
_cell_length_c 12.978
_cell_angle_alpha 90.00
_cell_angle_beta 108.27
_cell_angle_gamma 90.00
loop_
_space_group_symop_operation_xyz
'x,y,z'
'-x,y,-z'
'x+1/2,y+1/2,z'
'-x+1/2,y+1/2,-z'
loop_
_atom_site_label
_atom_site_fract_x
_atom_site_fract_y
_atom_site_fract_z
In1 0.000 0.000 0.000
In2 0.000 0.250 0.500
In3 0.165 0.500 0.332
Ga1 0.167 0.750 0.833
Cu1 0.000 0.500 0.000
Cu2 0.000 0.749 0.500
Cu3 0.167 0.000 0.332
Cu4 0.168 0.251 0.835
Se1 0.073 0.125 0.678
Se2 0.075 0.369 0.156
Se3 0.091 0.869 0.177
Se4 0.098 0.630 0.665
Se5 0.230 0.876 0.489
Se6 0.235 0.630 0.001
# ΔH_f (0 K), eV per atom: -0.68
# Raw total energy, eV per atom: -3.93



8.
# Hg2AsF6, relaxed, DFT GGA-PBE
data_Hg2AsF6
_space_group_name_H-M_alt 'P 1 21/c 1'
_space_group_IT_number 14
_cell_length_a 5.577
_cell_length_b 11.872
_cell_length_c 10.195
_cell_angle_alpha 90.00
_cell_angle_beta 92.03
_cell_angle_gamma 90.00
loop_
_space_group_symop_operation_xyz
'x,y,z'
'-x,-y,-z'
'-x,y+1/2,-z+1/2'
'x,-y+1/2,z+1/2'
loop_
_atom_site_label
_atom_site_fract_x
_atom_site_fract_y
_atom_site_fract_z
Hg1 0.001 0.024 0.371
Hg2 0.002 0.582 0.390
As1 0.499 0.205 0.828
F1 0.239 0.187 0.724
F2 0.240 0.724 0.568
F3 0.311 0.230 0.962
F4 0.315 0.680 0.806
F5 0.499 0.148 0.293
F6 0.500 0.059 0.865
# ΔH_f (0 K), eV per atom: -2.02
# Raw total energy, eV per atom: -3.58



9.
# GdDyZn2, relaxed, DFT GGA-PBE
data_GdDyZn2
_space_group_name_H-M_alt 'F m -3 m'
_space_group_IT_number 225
_space_group_name_Hall '-F 4 2 3'
_cell_length_a 7.179
_cell_length_b 7.179
_cell_length_c 7.179
_cell_angle_alpha 90.00
_cell_angle_beta 90.00
_cell_angle_gamma 90.00
loop_
_atom_site_label
_atom_site_fract_x
_atom_site_fract_y
_atom_site_fract_z
Gd1 0.000 0.000 0.000
Dy1 0.000 0.000 0.500
Zn1 0.250 0.250 0.250
# ΔH_f (0 K), eV per atom: -0.35
# Raw total energy, eV per atom: -5.65



10.
# ErGe2Ir, relaxed, DFT GGA-PBE
data_ErGe2Ir
_space_group_name_H-M_alt 'I m m m'
_space_group_IT_number 71
_space_group_name_Hall '-I 2 2'
_cell_length_a 4.251
_cell_length_b 8.896
_cell_length_c 16.138
_cell_angle_alpha 90.00
_cell_angle_beta 90.00
_cell_angle_gamma 90.00
loop_
_atom_site_label
_atom_site_fract_x
_atom_site_fract_y
_atom_site_fract_z
Er1 0.000 0.000 0.205
Er2 0.000 0.236 0.000
Ge1 0.000 0.000 0.422
Ge2 0.000 0.348 0.202
Ge3 0.000 0.500 0.423
Ir1 0.000 0.250 0.355
# ΔH_f (0 K), eV per atom: -0.78
# Raw total energy, eV per atom: -6.45



11.
# K2GeC6O13, relaxed, DFT GGA-PBE
data_K2GeC6O13
_space_group_name_H-M_alt 'C 1 2/c 1'
_space_group_IT_number 15
_cell_length_a 10.027
_cell_length_b 17.789
_cell_length_c 15.544
_cell_angle_alpha 90.00
_cell_angle_beta 104.40
_cell_angle_gamma 90.00
loop_
_space_group_symop_operation_xyz
'x,y,z'
'-x,-y,-z'
'-x,y,-z+1/2'
'x,-y,z+1/2'
'x+1/2,y+1/2,z'
'-x+1/2,-y+1/2,-z'
'-x+1/2,y+1/2,-z+1/2'
'x+1/2,-y+1/2,z+1/2'
loop_
_atom_site_label
_atom_site_fract_x
_atom_site_fract_y
_atom_site_fract_z
K1 0.057 0.220 0.388
K2 0.170 0.409 0.038
Ge1 0.000 0.142 0.750
Ge2 0.000 0.438 0.750
C1 0.018 0.227 0.899
C2 0.039 0.414 0.213
C3 0.054 0.007 0.296
C4 0.121 0.183 0.618
C5 0.223 0.346 0.762
C6 0.244 0.385 0.853
O1 0.056 0.269 0.963
O2 0.060 0.356 0.175
O3 0.080 0.481 0.196
O4 0.087 0.213 0.838
O5 0.093 0.061 0.825
O6 0.097 0.065 0.336
O7 0.108 0.366 0.705
O8 0.130 0.427 0.515
O9 0.144 0.433 0.857
O10 0.147 0.142 0.691
O11 0.158 0.128 0.084
O12 0.194 0.199 0.253
O13 0.195 0.186 0.566
# ΔH_f (0 K), eV per atom: -1.57
# Raw total energy, eV per atom: -6.92



12.
# SiC, relaxed, DFT GGA-PBE
data_SiC
_space_group_name_H-M_alt 'R 3 m'
_space_group_IT_number 160
_space_group_name_Hall 'R 3 -2"'
_cell_length_a 3.0948
_cell_length_b 3.0948
_cell_length_c 37.9637
_cell_angle_alpha 90.00
_cell_angle_beta 90.00
_cell_angle_gamma 120.00
loop_
_atom_site_label
_atom_site_fract_x
_atom_site_fract_y
_atom_site_fract_z
Si1 0.0000 0.0000 0.0000
Si2 0.0000 0.0000 0.1334
Si3 0.0000 0.0000 0.2667
Si4 0.0000 0.0000 0.5334
Si5 0.0000 0.0000 0.7334
C1 0.0000 0.0000 0.0500
C2 0.0000 0.0000 0.1834
C3 0.0000 0.0000 0.3168
C4 0.0000 0.0000 0.5836
C5 0.0000 0.0000 0.7835
# ΔH_f (0 K), eV per atom: -0.20
# Raw total energy, eV per atom: -7.53
# Piezoelectric modulus e_max, C/m²: 0.067